Lu | PBE-GGA | relaxed

Properties
Calculated volume: 29.3 Å³ per atom
Formation energy from the elements: 0.00 eV per atom
Space-group type: R-3m (166)

Unit cell a=8.583 b=8.583 c=8.583 alpha=23.44 beta=23.44 gamma=23.44
Fractional positions:
Lu 0.000 0.000 0.000
Lu 0.222 0.222 0.222
Lu 0.778 0.778 0.778


LuMg | PBE-GGA | relaxed

Properties
Calculated volume: 25.9 Å³ per atom
Formation energy from the elements: -0.05 eV per atom
Space-group type: Pm-3m (221)

Unit cell a=3.728 b=3.728 c=3.728 alpha=90.00 beta=90.00 gamma=90.00
Fractional positions:
Lu 0.000 0.000 0.000
Mg 0.500 0.500 0.500


Lu5Mg24 | PBE-GGA | relaxed

Properties
Calculated volume: 24.1 Å³ per atom
Formation energy from the elements: -0.02 eV per atom
Space-group type: I-43m (217)

Unit cell a=9.683 b=9.683 c=9.683 alpha=109.47 beta=109.47 gamma=109.47
Fractional positions:
Lu 0.000 0.000 0.000
Lu 0.000 0.000 0.634
Lu 0.000 0.634 0.000
Lu 0.366 0.366 0.366
Lu 0.634 0.000 0.000
Mg 0.000 0.191 0.370
Mg 0.000 0.370 0.191
Mg 0.000 0.395 0.681
Mg 0.000 0.681 0.395
Mg 0.179 0.809 0.809
Mg 0.191 0.000 0.370
Mg 0.191 0.370 0.000
Mg 0.286 0.605 0.605
Mg 0.319 0.319 0.714
Mg 0.319 0.714 0.319
Mg 0.370 0.000 0.191
Mg 0.370 0.191 0.000
Mg 0.395 0.000 0.681
Mg 0.395 0.681 0.000
Mg 0.605 0.286 0.605
Mg 0.605 0.605 0.286
Mg 0.630 0.630 0.821
Mg 0.630 0.821 0.630
Mg 0.681 0.000 0.395
Mg 0.681 0.395 0.000
Mg 0.714 0.319 0.319
Mg 0.809 0.179 0.809
Mg 0.809 0.809 0.179
Mg 0.821 0.630 0.630


LuMg3 | PBE-GGA | relaxed

Properties
Calculated volume: 24.4 Å³ per atom
Formation energy from the elements: -0.03 eV per atom
Space-group type: Pm-3m (221)

Unit cell a=4.606 b=4.606 c=4.606 alpha=90.00 beta=90.00 gamma=90.00
Fractional positions:
Lu 0.000 0.000 0.000
Mg 0.000 0.500 0.500
Mg 0.500 0.000 0.500
Mg 0.500 0.500 0.000


LuMg3 | PBE-GGA | relaxed

Properties
Calculated volume: 24.4 Å³ per atom
Formation energy from the elements: -0.02 eV per atom
Space-group type: P6_3/mmc (194)

Unit cell a=6.600 b=6.600 c=5.168 alpha=90.00 beta=90.00 gamma=120.00
Fractional positions:
Lu 0.333 0.667 0.250
Lu 0.667 0.333 0.750
Mg 0.164 0.329 0.750
Mg 0.164 0.836 0.750
Mg 0.329 0.164 0.250
Mg 0.671 0.836 0.750
Mg 0.836 0.164 0.250
Mg 0.836 0.671 0.250


LuMg3 | PBE-GGA | relaxed

Properties
Calculated volume: 23.9 Å³ per atom
Formation energy from the elements: -0.03 eV per atom
Space-group type: Fm-3m (225)

Unit cell a=5.134 b=5.134 c=5.134 alpha=60.00 beta=60.00 gamma=60.00
Fractional positions:
Lu 0.000 0.000 0.000
Mg 0.250 0.250 0.250
Mg 0.500 0.500 0.500
Mg 0.750 0.750 0.750


Q: Among the records above, which one has the highest calculated volume?
A: Lu


Copy entry 2 word for word.
LuMg | PBE-GGA | relaxed

Properties
Calculated volume: 25.9 Å³ per atom
Formation energy from the elements: -0.05 eV per atom
Space-group type: Pm-3m (221)

Unit cell a=3.728 b=3.728 c=3.728 alpha=90.00 beta=90.00 gamma=90.00
Fractional positions:
Lu 0.000 0.000 0.000
Mg 0.500 0.500 0.500


Q: The highest formation energy from the elements belongs to which entry?
A: Lu


What did the sixth record say?
LuMg3 | PBE-GGA | relaxed

Properties
Calculated volume: 23.9 Å³ per atom
Formation energy from the elements: -0.03 eV per atom
Space-group type: Fm-3m (225)

Unit cell a=5.134 b=5.134 c=5.134 alpha=60.00 beta=60.00 gamma=60.00
Fractional positions:
Lu 0.000 0.000 0.000
Mg 0.250 0.250 0.250
Mg 0.500 0.500 0.500
Mg 0.750 0.750 0.750